# BaCaSmFeO6, optimized geometry, DFT PBE with a Hubbard U
# Relative energy among the computed polymorphs in eV/atom: 0.000
# Electronic total energy in eV for the cell shown: -264.3
# ΔE_f in eV/atom: -2.57
# Spin magnetization in μB/cell: 12.0
data_BaCaSmFeO6
_chemical_formula_sum 'Ba4 Ca4 Sm4 Fe4 O24'
_space_group_name_H-M_alt 'F -4 3 m'
_space_group_IT_number 216
_space_group_name_Hall 'F -4 2 3'
_cell_length_a 8.279
_cell_length_b 8.279
_cell_length_c 8.279
_cell_angle_alpha 90.00
_cell_angle_beta 90.00
_cell_angle_gamma 90.00
loop_
_atom_site_label
_atom_site_type_symbol
_atom_site_fract_x
_atom_site_fract_y
_atom_site_fract_z
Ba1 Ba 0.000 0.000 0.000
Ca1 Ca 0.000 0.000 0.500
Sm1 Sm 0.250 0.250 0.750
Fe1 Fe 0.250 0.250 0.250
O1 O 0.022 0.250 0.250


# BaSrCaFeO6, optimized geometry, DFT PBE with a Hubbard U
# Electronic total energy in eV for the cell shown: -243.7
# ΔE_f in eV/atom: -2.35
# Spin magnetization in μB/cell: 16.0
data_BaSrCaFeO6
_chemical_formula_sum 'Ba4 Sr4 Ca4 Fe4 O24'
_space_group_name_H-M_alt 'F -4 3 m'
_space_group_IT_number 216
_space_group_name_Hall 'F -4 2 3'
_cell_length_a 8.269
_cell_length_b 8.269
_cell_length_c 8.269
_cell_angle_alpha 90.00
_cell_angle_beta 90.00
_cell_angle_gamma 90.00
loop_
_atom_site_label
_atom_site_type_symbol
_atom_site_fract_x
_atom_site_fract_y
_atom_site_fract_z
Ba1 Ba 0.000 0.000 0.000
Sr1 Sr 0.000 0.000 0.500
Ca1 Ca 0.250 0.250 0.750
Fe1 Fe 0.250 0.250 0.250
O1 O 0.022 0.250 0.250


# BaCaFeWO6, optimized geometry, DFT PBE with a Hubbard U
# Electronic total energy in eV for the cell shown: -276.8
# ΔE_f in eV/atom: -2.50
# Spin magnetization in μB/cell: 16.0
data_BaCaFeWO6
_chemical_formula_sum 'Ba4 Ca4 Fe4 W4 O24'
_space_group_name_H-M_alt 'F -4 3 m'
_space_group_IT_number 216
_space_group_name_Hall 'F -4 2 3'
_cell_length_a 8.084
_cell_length_b 8.084
_cell_length_c 8.084
_cell_angle_alpha 90.00
_cell_angle_beta 90.00
_cell_angle_gamma 90.00
loop_
_atom_site_label
_atom_site_type_symbol
_atom_site_fract_x
_atom_site_fract_y
_atom_site_fract_z
Ba1 Ba 0.000 0.000 0.000
Ca1 Ca 0.000 0.000 0.500
Fe1 Fe 0.250 0.250 0.750
W1 W 0.250 0.250 0.250
O1 O 0.005 0.250 0.250


# Ba2CaY2Fe4O10, optimized geometry, DFT PBE with a Hubbard U
# Relative energy among the computed polymorphs in eV/atom: 0.090
# Electronic total energy in eV for the cell shown: -131.2
# ΔE_f in eV/atom: -2.36
# Spin magnetization in μB/cell: 16.0
data_Ba2CaY2Fe4O10
_chemical_formula_sum 'Ba2 Ca1 Y2 Fe4 O10'
_space_group_name_H-M_alt 'P m m 2'
_space_group_IT_number 25
_cell_length_a 3.844
_cell_length_b 8.150
_cell_length_c 9.903
_cell_angle_alpha 90.00
_cell_angle_beta 90.00
_cell_angle_gamma 90.00
loop_
_space_group_symop_operation_xyz
'x,y,z'
'-x,-y,z'
'-x,y,z'
'x,-y,z'
loop_
_atom_site_label
_atom_site_type_symbol
_atom_site_fract_x
_atom_site_fract_y
_atom_site_fract_z
Ba1 Ba 0.000 0.236 0.000
Ca1 Ca 0.000 0.500 0.282
Y1 Y 0.000 0.224 0.606
Fe1 Fe 0.500 0.000 0.419
Fe2 Fe 0.500 0.000 0.801
Fe3 Fe 0.500 0.500 0.504
Fe4 Fe 0.500 0.500 0.798
O1 O 0.000 0.000 0.467
O2 O 0.000 0.000 0.752
O3 O 0.000 0.500 0.531
O4 O 0.000 0.500 0.857
O5 O 0.500 0.000 0.010
O6 O 0.500 0.255 0.455
O7 O 0.500 0.260 0.746
O8 O 0.500 0.500 0.162


# Ba2CaY2Fe4O10, optimized geometry, DFT PBE with a Hubbard U
# Relative energy among the computed polymorphs in eV/atom: 0.000
# Electronic total energy in eV for the cell shown: -132.9
# ΔE_f in eV/atom: -2.45
# Spin magnetization in μB/cell: 16.0
data_Ba2CaY2Fe4O10
_chemical_formula_sum 'Ba2 Ca1 Y2 Fe4 O10'
_space_group_name_H-M_alt 'P 1 m 1'
_space_group_IT_number 6
_cell_length_a 8.063
_cell_length_b 3.778
_cell_length_c 9.590
_cell_angle_alpha 90.00
_cell_angle_beta 90.87
_cell_angle_gamma 90.00
loop_
_space_group_symop_operation_xyz
'x,y,z'
'x,-y,z'
loop_
_atom_site_label
_atom_site_type_symbol
_atom_site_fract_x
_atom_site_fract_y
_atom_site_fract_z
Ba1 Ba 0.000 0.000 0.000
Ba2 Ba 0.485 0.000 0.859
Ca1 Ca 0.937 0.000 0.671
Y1 Y 0.460 0.000 0.419
Y2 Y 0.993 0.000 0.354
Fe1 Fe 0.226 0.500 0.582
Fe2 Fe 0.307 0.500 0.161
Fe3 Fe 0.685 0.500 0.156
Fe4 Fe 0.714 0.500 0.574
O1 O 0.212 0.000 0.545
O2 O 0.238 0.000 0.237
O3 O 0.261 0.500 0.958
O4 O 0.469 0.500 0.618
O5 O 0.503 0.500 0.304
O6 O 0.675 0.000 0.081
O7 O 0.733 0.000 0.489
O8 O 0.828 0.500 0.779
O9 O 0.937 0.500 0.206
O10 O 0.986 0.500 0.508


# Ba2Ca2Zn5Fe3O14, optimized geometry, DFT PBE with a Hubbard U
# Electronic total energy in eV for the cell shown: -288.8
# ΔE_f in eV/atom: -2.00
# Spin magnetization in μB/cell: 28.0
data_Ba2Ca2Zn5Fe3O14
_chemical_formula_sum 'Ba4 Ca4 Zn10 Fe6 O28'
_space_group_name_H-M_alt 'P 1 21 1'
_space_group_IT_number 4
_cell_length_a 8.732
_cell_length_b 7.407
_cell_length_c 12.752
_cell_angle_alpha 90.00
_cell_angle_beta 91.73
_cell_angle_gamma 90.00
loop_
_space_group_symop_operation_xyz
'x,y,z'
'-x,y+1/2,-z'
loop_
_atom_site_label
_atom_site_type_symbol
_atom_site_fract_x
_atom_site_fract_y
_atom_site_fract_z
Ba1 Ba 0.072 0.000 0.247
Ba2 Ba 0.381 0.633 0.179
Ca1 Ca 0.004 0.518 0.441
Ca2 Ca 0.431 0.655 0.788
Zn1 Zn 0.019 0.950 0.795
Zn2 Zn 0.251 0.415 0.915
Zn3 Zn 0.302 0.282 0.403
Zn4 Zn 0.365 0.040 0.040
Zn5 Zn 0.382 0.765 0.468
Fe1 Fe 0.001 0.190 0.987
Fe2 Fe 0.251 0.394 0.620
Fe3 Fe 0.349 0.016 0.615
O1 O 0.029 0.444 0.959
O2 O 0.052 0.323 0.581
O3 O 0.076 0.746 0.883
O4 O 0.094 0.653 0.147
O5 O 0.131 0.344 0.315
O6 O 0.186 0.991 0.698
O7 O 0.221 0.160 0.955
O8 O 0.243 0.472 0.759
O9 O 0.273 0.546 0.498
O10 O 0.280 0.013 0.469
O11 O 0.362 0.973 0.183
O12 O 0.414 0.569 0.977
O13 O 0.446 0.249 0.627
O14 O 0.487 0.818 0.638


# BaCaHfWO6, optimized geometry, DFT PBE with a Hubbard U
# Electronic total energy in eV for the cell shown: -314.1
# ΔE_f in eV/atom: -3.06
# Spin magnetization in μB/cell: 8.0
data_BaCaHfWO6
_chemical_formula_sum 'Ba4 Ca4 Hf4 W4 O24'
_space_group_name_H-M_alt 'F -4 3 m'
_space_group_IT_number 216
_space_group_name_Hall 'F -4 2 3'
_cell_length_a 8.264
_cell_length_b 8.264
_cell_length_c 8.264
_cell_angle_alpha 90.00
_cell_angle_beta 90.00
_cell_angle_gamma 90.00
loop_
_atom_site_label
_atom_site_type_symbol
_atom_site_fract_x
_atom_site_fract_y
_atom_site_fract_z
Ba1 Ba 0.000 0.000 0.000
Ca1 Ca 0.000 0.000 0.500
Hf1 Hf 0.250 0.250 0.750
W1 W 0.250 0.250 0.250
O1 O 0.001 0.250 0.250


# BaLiCaVP2O9, optimized geometry, DFT PBE with a Hubbard U
# Electronic total energy in eV for the cell shown: -429.2
# ΔE_f in eV/atom: -2.99
# Spin magnetization in μB/cell: 8.0
data_BaLiCaVP2O9
_chemical_formula_sum 'Ba4 Li4 Ca4 V4 P8 O36'
_space_group_name_H-M_alt 'P 1 21/c 1'
_space_group_IT_number 14
_cell_length_a 7.442
_cell_length_b 7.221
_cell_length_c 14.877
_cell_angle_alpha 90.00
_cell_angle_beta 101.17
_cell_angle_gamma 90.00
loop_
_space_group_symop_operation_xyz
'x,y,z'
'-x,-y,-z'
'-x,y+1/2,-z+1/2'
'x,-y+1/2,z+1/2'
loop_
_atom_site_label
_atom_site_type_symbol
_atom_site_fract_x
_atom_site_fract_y
_atom_site_fract_z
Ba1 Ba 0.128 0.231 0.077
Li1 Li 0.403 0.714 0.203
Ca1 Ca 0.309 0.025 0.843
V1 V 0.338 0.521 0.841
P1 P 0.034 0.724 0.199
P2 P 0.376 0.731 0.997
O1 O 0.002 0.617 0.629
O2 O 0.138 0.558 0.170
O3 O 0.153 0.722 0.795
O4 O 0.160 0.179 0.280
O5 O 0.245 0.562 0.972
O6 O 0.273 0.584 0.494
O7 O 0.474 0.524 0.748
O8 O 0.491 0.735 0.919
O9 O 0.494 0.208 0.407


> Number 5 is which compound?

Ba2CaY2Fe4O10


> Which formula does entry 7 have?

BaCaHfWO6